# SrTl2

SrTl2 after structural relaxation (r²SCAN, the Materials Project database).

The structure in extended XYZ format:
```
6
Lattice="-4.628 1.939 1.017 1.991 -3.604 3.043 3.515 5.918 4.711" Properties=species:S:1:pos:R:3 pbc="T T T"
Tl -0.045 -1.469 2.597
Tl 1.371 0.914 4.494
Tl 0.922 5.721 6.174
Tl -0.493 3.338 4.277
Sr 0.879 1.479 1.178
Sr 2.636 4.438 3.533
```

Formation energy from the elements: -0.432 eV/atom
V: 31.554 Å³/atom

***

# SrTl3

SrTl3 after structural relaxation (r²SCAN, the Materials Project database).

The structure in extended XYZ format:
```
4
Lattice="0.000 0.000 4.945 4.944 0.000 0.000 0.000 4.944 0.000" Properties=species:S:1:pos:R:3 pbc="T T T"
Sr 0.000 0.000 0.000
Tl 2.472 2.472 0.000
Tl 2.472 0.000 2.473
Tl 0.000 2.472 2.473
```

Formation energy from the elements: -0.294 eV/atom
V: 30.215 Å³/atom

***

# SrZn2

SrZn2 after structural relaxation (r²SCAN, the Materials Project database).

The structure in extended XYZ format:
```
12
Lattice="-4.029 -4.161 1.077 5.119 -0.031 2.916 -3.584 5.114 6.346" Properties=species:S:1:pos:R:3 pbc="T T T"
Zn -1.345 0.003 2.361
Zn 0.000 0.000 0.000
Zn -3.528 -2.252 2.944
Zn -1.792 2.557 3.173
Zn -1.740 3.190 5.814
Zn -0.755 -2.269 4.525
Zn 1.034 3.173 7.395
Zn -1.150 0.919 7.978
Sr 1.886 -1.146 2.629
Sr -4.380 2.067 7.711
Sr 0.461 0.887 5.151
Sr -2.956 0.035 5.188
```

Formation energy from the elements: -0.182 eV/atom
V: 22.301 Å³/atom

***

# SrZn2

SrZn2 after structural relaxation (r²SCAN, the Materials Project database).

The structure in extended XYZ format:
```
6
Lattice="-3.676 -1.618 -2.518 1.172 -5.013 -2.953 -3.520 -3.683 3.044" Properties=species:S:1:pos:R:3 pbc="T T T"
Sr -2.418 -3.637 1.405
Sr -3.606 -6.677 -3.832
Zn -4.727 -8.256 -1.181
Zn -1.298 -2.059 -1.245
Zn -3.118 -6.224 -0.373
Zn -2.906 -4.091 -2.053
```

Formation energy from the elements: -0.228 eV/atom
V: 23.391 Å³/atom

***

# SrZn

SrZn after structural relaxation (r²SCAN, the Materials Project database).

The structure in extended XYZ format:
```
8
Lattice="-3.463 -2.890 -0.592 0.906 -2.261 5.737 -5.614 6.057 3.273" Properties=species:S:1:pos:R:3 pbc="T T T"
Zn -7.705 2.816 5.110
Zn -0.466 -1.910 3.309
Zn -5.190 0.516 1.625
Zn -2.981 0.390 6.794
Sr -4.318 2.499 4.323
Sr -3.852 -1.593 4.096
Sr -1.770 0.114 1.054
Sr -6.401 0.792 7.365
```

Formation energy from the elements: -0.185 eV/atom
V: 31.485 Å³/atom

***

# TaTc

TaTc after structural relaxation (r²SCAN, the Materials Project database).

The structure in extended XYZ format:
```
2
Lattice="-1.974 -1.986 1.497 0.678 -2.269 -2.115 2.393 -0.996 1.834" Properties=species:S:1:pos:R:3 pbc="T T T"
Tc 0.548 -2.625 0.608
Ta 0.000 0.000 0.000
```

Formation energy from the elements: -0.568 eV/atom
V: 16.002 Å³/atom

***

# TaTiTc2

TaTiTc2 after structural relaxation (r²SCAN, the Materials Project database).

The structure in extended XYZ format:
```
4
Lattice="-0.647 -3.336 2.852 -0.009 0.785 4.366 -3.790 -0.256 2.292" Properties=species:S:1:pos:R:3 pbc="T T T"
Ta -1.111 -0.702 2.377
Ti -3.334 -2.105 7.132
Tc 0.000 0.000 0.000
Tc -2.223 -1.403 4.755
```

Formation energy from the elements: -0.572 eV/atom
V: 15.430 Å³/atom

***

# ZrTaTc2

ZrTaTc2 after structural relaxation (r²SCAN, the Materials Project database).

The structure in extended XYZ format:
```
4
Lattice="0.000 3.221 3.221 3.221 0.000 3.221 3.221 3.221 0.000" Properties=species:S:1:pos:R:3 pbc="T T T"
Tc 4.831 4.831 4.831
Tc 1.610 1.610 1.610
Zr 0.000 0.000 0.000
Ta 3.221 3.221 3.221
```

Formation energy from the elements: -0.491 eV/atom
V: 16.705 Å³/atom

***

# TaTi

TaTi after structural relaxation (r²SCAN, the Materials Project database).

The structure in extended XYZ format:
```
2
Lattice="-2.389 -0.335 -1.457 0.764 -2.476 1.110 -2.485 0.960 3.853" Properties=species:S:1:pos:R:3 pbc="T T T"
Ti -2.055 -0.925 1.753
Ta 0.000 0.000 0.000
```

Formation energy from the elements: 0.084 eV/atom
V: 17.573 Å³/atom

***

# TaW

TaW after structural relaxation (r²SCAN, the Materials Project database).

The structure in extended XYZ format:
```
2
Lattice="1.985 1.991 -0.157 -2.472 1.155 0.697 0.952 -0.604 4.379" Properties=species:S:1:pos:R:3 pbc="T T T"
Ta 0.000 0.000 0.000
W 0.233 1.271 2.459
```

Formation energy from the elements: -0.049 eV/atom
V: 16.837 Å³/atom

***

# YbTa

YbTa after structural relaxation (r²SCAN, the Materials Project database).

The structure in extended XYZ format:
```
2
Lattice="-2.882 -1.075 0.685 2.520 -1.214 1.451 -0.437 3.550 3.729" Properties=species:S:1:pos:R:3 pbc="T T T"
Yb 0.000 0.000 0.000
Ta 0.501 0.608 3.060
```

Formation energy from the elements: 0.375 eV/atom
V: 22.218 Å³/atom

***

# Ta6Zn7

Ta6Zn7 after structural relaxation (r²SCAN, the Materials Project database).

The structure in extended XYZ format:
```
13
Lattice="2.217 3.269 3.102 -2.211 1.245 4.334 4.301 -5.366 6.646" Properties=species:S:1:pos:R:3 pbc="T T T"
Ta 1.566 0.512 6.472
Ta 0.227 2.652 5.175
Ta 2.177 -1.971 4.587
Ta 2.130 1.119 9.496
Ta 4.079 -3.504 8.908
Ta 2.740 -1.364 7.610
Zn 0.970 -0.785 2.198
Zn 2.062 0.824 3.725
Zn 4.425 -0.680 9.751
Zn 2.245 -1.676 10.357
Zn 3.336 -0.067 11.884
Zn -0.118 -0.173 4.332
Zn 0.000 0.000 0.000
```

Formation energy from the elements: -0.138 eV/atom
V: 15.314 Å³/atom